[1]
This record from Materials Project describes a geometry-optimized RbSb3Se5 structure. The functional is PBE-GGA.

Output
- MP2020-corrected energy: -4.138 eV per atom
- Volume: 32.4 A^3/atom
- Energy above the most stable polymorph in this dataset: 5 meV per atom
- Total energy: -139.51 eV for the cell shown
- Energy of formation from the pure elements: -710 meV per atom
- Total magnetization: 0.0 μB per formula unit

```
36
Lattice="-7.684 8.824 -6.533 -4.057 -6.674 -4.242 -10.152 -6.251 3.499" Properties=species:S:1:pos:R:3 pbc="T T T"
Rb -10.155 2.589 -5.221
Rb -6.688 -3.535 -3.826
Rb -11.739 -6.690 -2.055
Rb -15.205 -0.566 -3.450
Sb -9.413 -6.017 1.817
Sb -14.345 -4.897 -4.614
Sb -12.480 1.916 -9.093
Sb -7.548 0.796 -2.662
Sb -6.516 -3.791 0.900
Sb -17.531 -6.792 -3.942
Sb -15.378 -0.310 -8.176
Sb -4.362 2.691 -3.334
Sb -11.403 -2.066 -5.809
Sb -3.074 -1.597 -1.227
Sb -10.490 -2.035 -1.467
Sb -18.819 -2.504 -6.049
Se -9.928 1.450 -8.659
Se -7.828 -1.348 -1.164
Se -11.965 -5.551 1.383
Se -14.066 -2.753 -6.113
Se -13.157 -10.382 -0.906
Se -11.289 0.258 -2.476
Se -8.737 6.281 -6.371
Se -10.604 -4.359 -4.800
Se -13.736 2.990 -3.952
Se -15.208 -7.950 -3.254
Se -8.157 -7.091 -3.325
Se -6.686 3.849 -4.023
Se -8.600 -4.826 -0.378
Se -16.750 -4.260 -3.772
Se -13.293 0.724 -6.898
Se -5.143 0.159 -3.504
Se -13.312 -3.343 -2.101
Se -17.220 0.207 -6.454
Se -8.581 -0.758 -5.175
Se -4.674 -4.308 -0.822
```



[2]
This record from Materials Project describes a geometry-optimized RbSb3Se5 structure. The functional is PBE-GGA.

Output
- MP2020-corrected energy: -4.143 eV per atom
- Volume: 31.9 A^3/atom
- Energy above the most stable polymorph in this dataset: 0 meV per atom
- Total energy: -139.70 eV for the cell shown
- Energy of formation from the pure elements: -715 meV per atom
- Total magnetization: 0.0 μB per formula unit

```
36
Lattice="4.126 0.000 0.000 0.000 12.330 0.000 0.000 0.000 22.546" Properties=species:S:1:pos:R:3 pbc="T T T"
Rb 1.031 8.022 13.294
Rb 1.031 10.473 2.021
Rb 3.094 4.308 9.252
Rb 3.094 1.857 20.525
Sb 1.031 11.710 15.656
Sb 1.031 6.785 4.383
Sb 3.094 0.620 6.890
Sb 3.094 5.545 18.163
Sb 3.094 9.938 18.759
Sb 3.094 8.557 7.486
Sb 1.031 2.392 3.787
Sb 1.031 3.773 15.060
Sb 3.094 1.338 12.643
Sb 3.094 4.827 1.370
Sb 1.031 10.992 9.903
Sb 1.031 7.503 21.176
Se 3.094 9.834 15.749
Se 3.094 8.660 4.476
Se 1.031 2.496 6.797
Se 1.031 3.669 18.070
Se 3.094 1.628 15.388
Se 3.094 4.537 4.115
Se 1.031 10.702 7.158
Se 1.031 7.793 18.431
Se 1.031 11.854 18.660
Se 1.031 6.641 7.387
Se 3.094 0.476 3.886
Se 3.094 5.689 15.159
Se 3.094 9.560 21.527
Se 3.094 8.935 10.254
Se 1.031 2.770 1.019
Se 1.031 3.395 12.292
Se 1.031 11.635 12.882
Se 1.031 6.860 1.609
Se 3.094 0.695 9.664
Se 3.094 5.470 20.937
```



[3]
This record from Materials Project describes a geometry-optimized Rb4SnSb6 structure. The functional is PBE-GGA.

Output
- MP2020-corrected energy: -3.393 eV per atom
- Volume: 45.3 A^3/atom
- Total energy: -217.02 eV for the cell shown
- Energy of formation from the pure elements: -420 meV per atom
- Total magnetization: 0.0 μB per formula unit

```
66
Lattice="7.655 -13.259 0.000 7.655 13.259 0.000 0.000 0.000 14.742" Properties=species:S:1:pos:R:3 pbc="T T T"
Rb 7.655 4.420 7.378
Rb 7.655 -4.420 7.364
Rb 5.686 -0.402 8.042
Rb 5.160 -8.133 8.042
Rb 12.118 -4.723 8.042
Rb 9.624 0.402 6.699
Rb 10.150 8.133 6.699
Rb 3.191 4.723 6.699
Rb 4.299 -1.275 12.550
Rb 6.610 -8.898 12.550
Rb 12.056 -3.086 12.550
Rb 11.011 1.275 2.192
Rb 8.700 8.898 2.192
Rb 3.254 3.086 2.192
Rb 5.979 2.467 12.988
Rb 10.184 3.945 12.988
Rb 6.801 6.847 12.988
Rb 9.330 -2.467 1.754
Rb 5.126 -3.945 1.754
Rb 8.509 -6.847 1.754
Rb 0.000 0.000 0.000
Rb 0.000 0.000 7.371
Rb 7.655 4.420 3.011
Rb 7.655 -4.420 11.731
Sn 7.230 0.466 3.381
Sn 11.292 6.029 3.381
Sn 4.443 6.764 3.381
Sn 8.080 -0.466 11.360
Sn 4.018 -6.029 11.360
Sn 10.867 -6.764 11.360
Sb 6.767 -2.079 4.659
Sb 6.072 -6.359 4.659
Sb 10.126 -4.821 4.659
Sb 8.543 2.079 10.083
Sb 9.238 6.359 10.083
Sb 5.184 4.821 10.083
Sb 5.545 2.064 5.097
Sb 10.750 3.770 5.097
Sb 6.670 7.424 5.097
Sb 9.765 -2.064 9.644
Sb 4.560 -3.770 9.644
Sb 8.640 -7.424 9.644
Sb 5.467 0.025 1.142
Sb 12.555 4.723 1.142
Sb 4.942 8.511 1.142
Sb 9.842 -0.025 13.600
Sb 2.755 -4.723 13.600
Sb 10.367 -8.511 13.600
Sb 3.083 -0.693 2.408
Sb 6.713 -10.243 2.408
Sb 13.169 -2.324 2.408
Sb 12.227 0.693 12.334
Sb 8.597 10.243 12.334
Sb 2.141 2.324 12.334
Sb 3.987 -2.141 4.840
Sb 7.515 -8.735 4.840
Sb 11.462 -2.383 4.840
Sb 11.323 2.141 9.901
Sb 7.794 8.735 9.901
Sb 3.848 2.383 9.901
Sb 3.137 0.656 5.053
Sb 13.174 2.389 5.053
Sb 6.654 10.214 5.053
Sb 12.173 -0.656 9.688
Sb 2.136 -2.389 9.688
Sb 8.655 -10.214 9.688
```



[4]
This record from Materials Project describes a geometry-optimized Rb2Se structure. The functional is PBE-GGA.

Output
- MP2020-corrected energy: -3.026 eV per atom
- Volume: 44.7 A^3/atom
- Total energy: -8.61 eV for the cell shown
- Energy of formation from the pure elements: -1207 meV per atom

```
3
Lattice="4.517 1.903 -2.994 0.104 -0.569 -5.714 -0.525 4.630 -3.357" Properties=species:S:1:pos:R:3 pbc="T T T"
Rb 3.072 4.473 -9.049
Rb 1.024 1.491 -3.016
Se 0.000 0.000 0.000
```



[5]
This record from Materials Project describes a geometry-optimized Rb2Se3 structure. The functional is PBE-GGA.

Output
- MP2020-corrected energy: -3.570 eV per atom
- Volume: 35.9 A^3/atom
- Total energy: -32.87 eV for the cell shown
- Energy of formation from the pure elements: -1080 meV per atom
- Maximum piezoelectric response: 0.29 C/m²

```
10
Lattice="-0.629 6.829 -0.323 4.645 -1.699 4.761 5.838 0.273 -5.597" Properties=species:S:1:pos:R:3 pbc="T T T"
Rb 6.374 3.522 -2.837
Rb 4.360 1.922 0.834
Rb 7.321 -0.709 1.196
Rb 0.168 6.001 -0.088
Se 7.822 2.696 0.410
Se 1.139 2.664 -0.713
Se 5.755 0.056 -1.875
Se 3.206 5.305 1.571
Se 3.572 0.064 3.695
Se 3.396 5.204 -2.087
```



[6]
This record from Materials Project describes a geometry-optimized Rb2Si2Se5 structure. The functional is PBE-GGA.

Output
- MP2020-corrected energy: -4.462 eV per atom
- Volume: 34.1 A^3/atom
- Total energy: -151.20 eV for the cell shown
- Energy of formation from the pure elements: -1096 meV per atom

```
36
Lattice="8.157 8.142 0.000 -8.157 8.142 0.000 0.000 2.549 9.231" Properties=species:S:1:pos:R:3 pbc="T T T"
Rb 2.194 4.119 5.732
Rb -2.194 14.715 3.499
Rb 2.194 15.989 8.115
Rb -2.194 2.844 1.116
Rb -1.213 12.552 8.051
Rb 1.213 6.282 1.181
Rb -1.213 7.556 5.797
Rb 1.213 11.277 3.435
Si 3.340 8.658 5.688
Si -3.340 10.175 3.543
Si 3.340 11.450 8.159
Si -3.340 7.384 1.072
Si 6.028 8.758 8.302
Si -6.028 10.076 0.930
Si 6.028 11.350 5.545
Si -6.028 7.483 3.686
Se 4.635 7.589 0.352
Se -4.635 11.245 8.880
Se 4.635 9.970 4.264
Se -4.635 8.863 4.967
Se 4.649 7.328 7.063
Se -4.649 11.506 2.169
Se 4.649 12.780 6.784
Se -4.649 6.053 2.447
Se 1.931 10.054 6.924
Se -1.931 8.779 2.308
Se -2.077 11.424 4.844
Se 2.077 7.410 4.387
Se -2.077 8.685 9.003
Se 2.077 10.149 0.228
Se -0.926 13.138 0.448
Se 0.926 5.696 8.784
Se -0.926 4.421 4.168
Se 0.926 14.413 5.063
Se 7.381 10.054 6.924
Se -7.381 8.779 2.308
```



[7]
This record from Materials Project describes a geometry-optimized RbSn2Se4 structure. The functional is PBE-GGA.

Output
- MP2020-corrected energy: -4.160 eV per atom
- Volume: 36.2 A^3/atom
- Total energy: -217.83 eV for the cell shown
- Energy of formation from the pure elements: -876 meV per atom
- Total magnetization: 0.0 μB per formula unit

```
56
Lattice="-5.857 -16.300 10.094 6.879 -3.363 -1.438 10.688 2.185 9.731" Properties=species:S:1:pos:R:3 pbc="T T T"
Rb 7.492 -10.065 10.338
Rb 4.218 -7.412 8.048
Rb 9.124 -3.965 6.846
Rb 8.518 -10.783 15.392
Rb 3.192 -6.694 2.994
Rb -0.093 -17.393 9.334
Rb 2.586 -13.512 11.540
Rb 11.803 -0.084 9.052
Sn 11.568 -9.806 12.207
Sn 5.006 -12.890 7.519
Sn 4.446 -9.921 13.590
Sn 5.346 -14.264 14.938
Sn 2.664 -2.052 3.755
Sn 1.476 -11.255 7.533
Sn 7.996 0.406 6.719
Sn 6.704 -4.587 10.867
Sn 6.364 -3.213 3.448
Sn 0.143 -7.671 6.179
Sn 10.235 -6.222 10.853
Sn 13.441 -4.147 8.227
Sn 3.714 -17.883 11.667
Sn -1.731 -13.330 10.159
Sn 9.047 -15.425 14.631
Sn 7.264 -7.556 4.796
Se 6.018 -11.755 13.040
Se 1.500 -16.984 12.399
Se -3.285 -15.391 10.643
Se 7.193 -4.963 1.471
Se 4.031 -3.246 1.955
Se -2.043 -9.040 6.424
Se 2.865 -3.472 5.938
Se 11.427 -3.541 9.536
Se 4.278 -8.122 11.684
Se 0.538 -9.807 9.696
Se 1.049 -14.214 15.170
Se 2.190 -9.032 5.733
Se 5.692 -5.722 5.345
Se 11.172 -7.671 8.690
Se 5.435 -15.969 11.217
Se 14.995 -2.086 7.743
Se 13.753 -8.437 11.962
Se 3.523 -15.039 7.547
Se 9.520 -8.445 12.652
Se 6.275 -1.508 7.169
Se 11.953 -11.609 14.059
Se 10.210 -0.493 5.987
Se 7.432 -9.355 6.702
Se 10.661 -3.263 3.216
Se -0.243 -5.868 4.326
Se 8.188 -2.438 10.839
Se 8.845 -14.005 12.448
Se 4.517 -12.514 16.914
Se 0.283 -13.936 8.849
Se 7.875 -6.326 9.404
Se 7.679 -14.231 16.431
Se 3.835 -11.152 8.982
```



[8]
This record from Materials Project describes a geometry-optimized RbTbSe2 structure. The functional is PBE-GGA.

Output
- MP2020-corrected energy: -5.121 eV per atom
- Volume: 31.5 A^3/atom
- Total energy: -19.54 eV for the cell shown
- Energy of formation from the pure elements: -1969 meV per atom

```
4
Lattice="1.656 -3.446 -1.885 -0.197 -0.413 -4.238 7.514 2.471 -2.734" Properties=species:S:1:pos:R:3 pbc="T T T"
Rb 0.000 0.000 0.000
Tb 4.487 -0.694 -4.429
Se 2.623 -0.144 -2.252
Se 6.351 -1.244 -6.606
```



[9]
This record from Materials Project describes a geometry-optimized Rb2Tc3Se6 structure. The functional is PBE-GGA.

Output
- MP2020-corrected energy: -5.910 eV per atom
- Volume: 26.6 A^3/atom
- Total energy: -248.72 eV for the cell shown
- Energy of formation from the pure elements: -999 meV per atom

```
44
Lattice="-4.533 -7.688 -5.209 1.304 -0.863 -10.215 10.142 -7.463 1.653" Properties=species:S:1:pos:R:3 pbc="T T T"
Rb 0.225 -6.955 -6.701
Rb 6.689 -9.059 -7.069
Rb 2.558 -4.227 -8.702
Rb 4.355 -11.787 -5.068
Rb 9.433 -10.856 -9.080
Rb 5.471 -5.477 -6.367
Rb -2.519 -5.158 -4.690
Rb 1.442 -10.537 -7.403
Tc 3.047 -9.656 -12.942
Tc 0.636 -0.473 -3.234
Tc 3.866 -6.358 -0.829
Tc 6.277 -15.540 -10.536
Tc 2.559 -7.695 -11.208
Tc 1.330 -2.195 -5.143
Tc 4.355 -8.319 -2.562
Tc 5.583 -13.819 -8.627
Tc 2.655 -6.346 -3.202
Tc -2.114 -7.457 -10.280
Tc 4.258 -9.668 -10.568
Tc 9.027 -8.557 -3.491
Se 4.659 -11.463 -12.256
Se 8.465 -6.950 -1.665
Se 2.254 -4.551 -1.514
Se -1.552 -9.064 -12.105
Se -0.363 -2.795 -3.405
Se 1.747 -10.023 -10.799
Se 7.277 -13.219 -10.365
Se 5.166 -5.991 -2.972
Se 6.734 -9.129 -10.519
Se 8.526 -6.786 -5.234
Se 0.179 -6.884 -3.251
Se -1.613 -9.228 -8.536
Se 3.767 -7.740 -8.967
Se -0.373 -2.728 -6.961
Se 3.146 -8.274 -4.804
Se 7.286 -13.286 -6.809
Se 10.552 -7.714 -7.972
Se 6.829 -5.723 -9.600
Se -3.639 -8.300 -5.799
Se 0.084 -10.291 -4.171
Se 0.401 -6.540 -10.114
Se 2.362 -4.667 -5.272
Se 6.513 -9.474 -3.657
Se 4.552 -11.347 -8.498
```



[10]
This record from Materials Project describes a geometry-optimized RbTi6Se8 structure. The functional is PBE-GGA.

Output
- MP2020-corrected energy: -6.559 eV per atom
- Volume: 20.7 A^3/atom
- Total energy: -94.61 eV for the cell shown
- Energy of formation from the pure elements: -1471 meV per atom

```
15
Lattice="-2.618 -1.606 -1.870 -3.623 8.921 -2.591 6.836 -4.464 -5.734" Properties=species:S:1:pos:R:3 pbc="T T T"
Rb -1.309 -0.803 -0.935
Ti 2.672 -1.857 -7.329
Ti 0.931 -2.241 -4.562
Ti 0.559 0.479 -6.376
Ti -2.077 4.708 -2.866
Ti -0.336 5.092 -5.633
Ti 0.036 2.373 -3.819
Se -2.100 3.255 -5.041
Se 2.695 -0.404 -5.154
Se 2.623 -3.869 -5.545
Se -0.651 -0.093 -4.207
Se 2.173 0.334 -8.525
Se -2.028 6.720 -4.650
Se 1.246 2.945 -5.988
Se -1.578 2.517 -1.670
```



[11]
This record from Materials Project describes a geometry-optimized RbVSe2 structure. The functional is PBE-GGA.

Output
- MP2020-corrected energy: -5.427 eV per atom
- Volume: 31.9 A^3/atom
- Total energy: -83.06 eV for the cell shown
- Energy of formation from the pure elements: -1163 meV per atom

```
16
Lattice="0.000 6.989 12.629 2.890 0.000 12.629 2.890 6.989 0.000" Properties=species:S:1:pos:R:3 pbc="T T T"
Rb 2.890 6.989 17.093
Rb 2.890 6.989 8.164
Rb 4.335 10.483 14.478
Rb 4.335 10.483 23.408
V 2.890 6.989 12.629
V 4.335 10.483 18.943
V 0.000 0.000 0.000
V 1.445 3.494 6.314
Se 2.887 9.135 4.987
Se 2.887 4.842 20.270
Se 2.893 9.135 20.270
Se 2.893 4.842 4.987
Se 1.448 8.337 13.956
Se 1.448 5.641 11.301
Se 4.332 8.337 11.301
Se 4.332 5.641 13.956
```